Ca4Tl3O9: relaxed, PBE.

* total energy: -5.497 eV/atom
* volume: 232.2 Å³/cell
* E_form: -2.156 eV/atom

Cell: 5.8952 5.8952 12.3889 Å, 78.54 78.54 33.46°
With the nearest neighbours (Å) after each atom.
Fractional coordinates of all 16 atoms:
Ca  0.4528  0.4528  0.2857  6 O 2.32-2.57
Ca  0.5472  0.5472  0.7143  6 O 2.32-2.57
Ca  0.2380  0.2380  0.1276  6 O 2.27-2.43
Ca  0.7620  0.7620  0.8724  6 O 2.27-2.43
Tl  0.8510  0.8510  0.5632  2 O 2.11-2.20
Tl  0.1490  0.1490  0.4368  2 O 2.11-2.20
Tl  0.0000  0.0000  0.0000  6 O 2.22-2.39
O  0.8069  0.8069  0.3986  3 Tl 2.20-2.44
O  0.1931  0.1931  0.6014  3 Tl 2.20-2.44
O  0.6258  0.6258  0.0526  2 Tl 2.39, 3 Ca 2.42-2.43
O  0.3742  0.3742  0.9474  2 Tl 2.39, 3 Ca 2.42-2.43
O  0.9069  0.9069  0.7154  1 Tl 2.11, 3 Ca 2.27-2.32
O  0.0931  0.0931  0.2846  1 Tl 2.11, 3 Ca 2.27-2.32
O  0.8759  0.8759  0.1642  1 Tl 2.22, 2 Ca 2.41
O  0.1241  0.1241  0.8358  1 Tl 2.22, 2 Ca 2.41
O  0.5000  0.5000  0.5000  4 Tl 2.40

=====

Na4Zr2Ga2Si3S3O24: relaxed, PBE.

* total energy: -6.785 eV/atom
* volume: 1586.9 Å³/cell
* E_form: -2.591 eV/atom

Cell: 8.9620 8.9534 22.8143 Å, 90.19 88.41 119.86°
With the nearest neighbours (Å) after each atom.
Fractional coordinates of all 114 atoms:
Na  0.0006  0.6426  0.2530  4 O 2.32-2.58
Na  0.9974  0.3590  0.7401  5 O 2.31-2.57
Na  0.6644  0.9714  0.5874  4 O 2.29-2.56
Na  0.6690  0.6990  0.0816  6 O 2.40-2.67
Na  0.3343  0.3030  0.9034  5 O 2.36-2.57
Na  0.3256  0.0279  0.4212  5 O 2.35-2.56
Na  0.0095  0.0024  0.5000  5 O 2.46-2.65
Na  0.9884  0.9818  0.9927  4 O 2.38-2.62
Na  0.6566  0.3295  0.8200  3 O 2.28-2.37
Na  0.6646  0.3440  0.3311  6 O 2.43-2.70
Na  0.3353  0.6771  0.1672  6 O 2.49-2.67
Na  0.3342  0.6665  0.6590  3 O 2.41-2.45
Zr  0.0110  0.0132  0.6456  4 O 1.97-2.05
Zr  0.0032  0.9877  0.1495  3 O 1.94-2.07
Zr  0.6771  0.3489  0.9800  4 O 1.94-2.15
Zr  0.6763  0.3396  0.4837  4 O 1.95-2.08
Zr  0.3380  0.6721  0.3133  6 O 2.02-2.26
Zr  0.3510  0.6690  0.8096  3 O 1.94-2.00
Ga  0.0027  0.9657  0.3470  3 O 1.83-1.89
Ga  0.9768  0.9901  0.8420  4 O 1.81-1.98
Ga  0.6425  0.2922  0.6844  4 O 1.84-1.96
Ga  0.6755  0.3463  0.1908  3 O 1.87-1.93
Ga  0.3322  0.6765  0.0161  4 O 1.88-2.08
Ga  0.2805  0.6645  0.5238  3 O 1.82-1.86
Si  0.3079  0.0155  0.2509  4 O 1.62-1.66
Si  0.7062  0.7017  0.2495  4 O 1.62-1.66
Si  0.2958  0.2785  0.7539  4 O 1.62-1.68
Si  0.7121  0.0091  0.7484  4 O 1.62-1.64
Si  0.9572  0.3404  0.5882  4 O 1.63-1.65
Si  0.3736  0.0335  0.5799  4 O 1.62-1.65
Si  0.9711  0.6197  0.0852  4 O 1.63-1.67
Si  0.6327  0.6855  0.9194  4 O 1.63-1.69
Si  0.0344  0.6699  0.4149  4 O 1.63-1.66
S  0.9969  0.2849  0.2519  4 O 1.46-1.51
S  0.9952  0.7068  0.7529  4 O 1.46-1.51
S  0.6611  0.6220  0.5860  4 O 1.46-1.51
S  0.6633  0.0424  0.0846  4 O 1.46-1.51
S  0.3751  0.3381  0.0838  4 O 1.47-1.51
S  0.0472  0.3755  0.9185  4 O 1.47-1.50
S  0.3290  0.9565  0.9195  4 O 1.47-1.51
S  0.6349  0.9577  0.4170  4 O 1.46-1.52
S  0.3261  0.3743  0.4188  4 O 1.47-1.51
O  0.2214  0.0437  0.3109  1 Si 1.64
O  0.8345  0.7969  0.3031  1 Si 1.62
O  0.9772  0.1809  0.3039  1 S 1.46
O  0.2042  0.1663  0.8154  1 Si 1.67
O  0.9761  0.7898  0.8074  1 S 1.49
O  0.8310  0.0420  0.8053  1 Si 1.63, 1 Ga 1.81
O  0.7886  0.9671  0.6895  1 Si 1.62
O  0.1675  0.1942  0.6990  1 Si 1.63
O  0.0272  0.8132  0.7001  1 S 1.47
O  0.7854  0.8152  0.1880  1 Si 1.66
O  0.0206  0.2083  0.1967  1 S 1.49
O  0.1736  0.9737  0.1963  1 Si 1.66
O  0.8670  0.3663  0.6472  1 Si 1.63
O  0.4983  0.1211  0.6348  1 Si 1.62
O  0.6393  0.5166  0.6378  1 S 1.46
O  0.8739  0.5033  0.1437  1 Si 1.63
O  0.6427  0.1250  0.1370  1 S 1.46
O  0.4836  0.3593  0.1337  1 S 1.47
O  0.4505  0.3085  0.0282  1 S 1.51
O  0.8398  0.5293  0.0297  1 Si 1.67
O  0.6780  0.1410  0.0301  1 S 1.49
O  0.4521  0.1456  0.5186  1 Si 1.65
O  0.6881  0.5435  0.5310  1 S 1.51
O  0.8385  0.3109  0.5306  1 Si 1.65
O  0.5368  0.7006  0.9807  1 Si 1.66
O  0.1532  0.4657  0.9697  1 S 1.49
O  0.3072  0.8529  0.9733  1 S 1.49
O  0.5567  0.8572  0.4709  1 S 1.46
O  0.3148  0.4647  0.4713  1 S 1.47
O  0.1663  0.7103  0.4685  1 Si 1.64, 1 Ga 1.82
O  0.1230  0.6450  0.3545  1 Si 1.64
O  0.5206  0.8695  0.3657  1 S 1.52
O  0.3520  0.4788  0.3643  1 S 1.50
O  0.1168  0.4772  0.8640  1 S 1.47
O  0.3512  0.8753  0.8666  1 S 1.47
O  0.4991  0.6370  0.8658  1 Si 1.64
O  0.0271  0.8511  0.4119  1 Si 1.66
O  0.8092  0.9851  0.4065  1 S 1.47
O  0.1705  0.2022  0.4145  1 S 1.48
O  0.0367  0.2058  0.9158  1 S 1.48
O  0.1802  0.9834  0.9174  1 S 1.47
O  0.8260  0.8495  0.9083  1 Si 1.63
O  0.9668  0.1606  0.5882  1 Si 1.65
O  0.1791  0.0014  0.5867  1 Si 1.62
O  0.8198  0.7964  0.5877  1 S 1.50
O  0.9787  0.8098  0.0867  1 Si 1.67
O  0.8227  0.0259  0.0850  1 S 1.51
O  0.1989  0.1877  0.0886  1 S 1.48
O  0.7012  0.1848  0.7456  1 Si 1.63
O  0.4894  0.3132  0.7425  1 Si 1.62
O  0.8440  0.5356  0.7495  1 S 1.46
O  0.7052  0.5192  0.2444  1 Si 1.63
O  0.8444  0.3086  0.2477  1 S 1.49
O  0.4976  0.1783  0.2381  1 Si 1.62
O  0.6382  0.5002  0.9251  1 Si 1.69
O  0.8683  0.3475  0.9252  1 S 1.50
O  0.4885  0.1320  0.9237  1 S 1.51
O  0.6388  0.1285  0.4185  1 S 1.51
O  0.4808  0.3493  0.4195  1 S 1.51
O  0.8435  0.5003  0.4197  1 Si 1.63
O  0.3663  0.4990  0.0783  1 S 1.49
O  0.1627  0.6425  0.0735  1 Si 1.64
O  0.5118  0.8635  0.0812  1 S 1.50
O  0.3739  0.8494  0.5747  1 Si 1.65
O  0.5122  0.6472  0.5790  1 S 1.47
O  0.1518  0.5026  0.5803  1 Si 1.63
O  0.3109  0.8320  0.2548  1 Si 1.66
O  0.5134  0.6737  0.2547  1 Si 1.62
O  0.1531  0.4628  0.2540  1 S 1.51
O  0.2973  0.4660  0.7596  1 Si 1.68
O  0.1505  0.6843  0.7587  1 S 1.51
O  0.5172  0.8422  0.7555  1 Si 1.64

=====

CaUO4: relaxed, PBE.

* total energy: -8.752 eV/atom
* volume: 78.1 Å³/cell
* E_form: -3.695 eV/atom

Cell: 6.3497 6.3497 6.3497 Å, 35.74 35.74 35.74°
With the nearest neighbours (Å) after each atom.
Fractional coordinates of all 6 atoms:
Ca  0.5000  0.5000  0.5000  8 O 2.45-2.46
U  0.0000  0.0000  0.0000  2 O 1.99
O  0.6375  0.6375  0.6375  3 U 2.31, 1 Ca 2.45, 3 O 2.48
O  0.3625  0.3625  0.3625  3 U 2.31, 1 Ca 2.45, 3 O 2.48
O  0.1115  0.1115  0.1115  1 U 1.99
O  0.8885  0.8885  0.8885  1 U 1.99

=====

SrEr2Se4: relaxed, PBE.

* total energy: -5.488 eV/atom
* volume: 776.0 Å³/cell
* E_form: -2.214 eV/atom

Cell: 4.1336 12.5832 14.9193 Å, 90.00 90.00 90.00°
With the nearest neighbours (Å) after each atom.
Fractional coordinates of all 28 atoms:
Sr  0.2500  0.7592  0.3349  8 Se 3.21-3.45
Sr  0.2500  0.2592  0.1651  8 Se 3.21-3.45
Sr  0.7500  0.2408  0.6651  8 Se 3.21-3.45
Sr  0.7500  0.7408  0.8349  8 Se 3.21-3.45
Er  0.2500  0.4365  0.3894  6 Se 2.82-2.88
Er  0.2500  0.9365  0.1106  6 Se 2.82-2.88
Er  0.7500  0.5635  0.6106  6 Se 2.82-2.88
Er  0.7500  0.0635  0.8894  6 Se 2.82-2.88
Er  0.2500  0.4177  0.9018  6 Se 2.80-2.89
Er  0.2500  0.9177  0.5982  6 Se 2.80-2.89
Er  0.7500  0.5823  0.0982  6 Se 2.80-2.89
Er  0.7500  0.0823  0.4018  6 Se 2.80-2.89
Se  0.2500  0.2055  0.8281  3 Er 2.88-2.89, 2 Sr 3.22
Se  0.2500  0.7055  0.6719  3 Er 2.88-2.89, 2 Sr 3.22
Se  0.7500  0.7945  0.1719  3 Er 2.88-2.89, 2 Sr 3.22
Se  0.7500  0.2945  0.3281  3 Er 2.88-2.89, 2 Sr 3.22
Se  0.2500  0.1296  0.5295  3 Er 2.86-2.87
Se  0.2500  0.6296  0.9705  3 Er 2.86-2.87
Se  0.7500  0.8704  0.4705  3 Er 2.86-2.87
Se  0.7500  0.3704  0.0295  3 Er 2.86-2.87
Se  0.2500  0.0264  0.2845  3 Er 2.80-2.83
Se  0.2500  0.5264  0.2155  3 Er 2.80-2.83
Se  0.7500  0.9736  0.7155  3 Er 2.80-2.83
Se  0.7500  0.4736  0.7845  3 Er 2.80-2.83
Se  0.2500  0.4111  0.5775  3 Er 2.82-2.86
Se  0.2500  0.9111  0.9225  3 Er 2.82-2.86
Se  0.7500  0.5889  0.4225  3 Er 2.82-2.86
Se  0.7500  0.0889  0.0775  3 Er 2.82-2.86

=====

KCuF3: relaxed, PBE.

* total energy: -4.140 eV/atom
* volume: 194.4 Å³/cell
* E_form: -2.226 eV/atom

Cell: 6.3297 6.3297 6.3297 Å, 111.70 111.70 105.11°
With the nearest neighbours (Å) after each atom.
Fractional coordinates of all 10 atoms:
K  0.0000  0.0000  0.0000  4 F 2.59
K  0.5000  0.5000  0.0000  4 F 2.59
Cu  0.5000  0.0000  0.5000  4 F 1.87-1.92
Cu  0.0000  0.5000  0.5000  4 F 1.87-1.92
F  0.7500  0.2500  0.5000  2 Cu 1.92
F  0.1862  0.6862  0.8723  1 Cu 1.87
F  0.3138  0.1862  0.5000  1 Cu 1.87
F  0.2500  0.7500  0.5000  2 Cu 1.92
F  0.8138  0.3138  0.1277  1 Cu 1.87
F  0.6862  0.8138  0.5000  1 Cu 1.87

=====

MgSb2P2H2O10: relaxed, PBE.

* excess energy over the best structure of this formula in the dataset: 0.039 eV/atom
* total energy: -6.311 eV/atom
* volume: 217.8 Å³/cell
* E_form: -2.189 eV/atom

Cell: 5.9273 8.1138 5.3391 Å, 111.99 91.09 111.55°
With the nearest neighbours (Å) after each atom.
Fractional coordinates of all 17 atoms:
Mg  0.5000  0.0000  0.0000  6 O 2.08-2.13
Sb  0.0000  0.5000  0.0000  6 O 2.28-2.38
Sb  0.0000  0.0000  0.0000  6 O 2.29-2.32
P  0.3714  0.2441  0.6379  4 O 1.54-1.57
P  0.6286  0.7559  0.3621  4 O 1.54-1.57
H  0.9133  0.2979  0.3429  1 O 0.99
H  0.0867  0.7021  0.6571  1 O 0.99
O  0.1499  0.7588  0.8559  1 H 0.99
O  0.1648  0.3212  0.6607  1 P 1.55
O  0.3623  0.6006  0.2807  1 P 1.54
O  0.3302  0.0988  0.3295  1 P 1.57
O  0.3369  0.1250  0.8191  1 P 1.57
O  0.6631  0.8750  0.1809  1 P 1.57
O  0.6698  0.9012  0.6705  1 P 1.57
O  0.6377  0.3994  0.7193  1 P 1.54
O  0.8352  0.6788  0.3393  1 P 1.55
O  0.8501  0.2412  0.1441  1 H 0.99